Density functional theory data (PBE-GGA) for crystalline Nb2O5 at its relaxed geometry.

Unit cell a=3.872 b=19.789 c=20.814 alpha=64.29 beta=90.00 gamma=90.00
Positions (direct):
1 Nb 0.011 0.160 0.834
2 Nb 0.500 0.421 0.704
3 Nb 0.993 0.004 0.763
4 Nb 0.020 0.156 0.567
5 Nb 0.998 0.693 0.629
6 Nb 0.993 0.996 0.237
7 Nb 0.003 0.152 0.303
8 Nb 0.504 0.734 0.842
9 Nb 0.999 0.315 0.639
10 Nb 0.999 0.685 0.361
11 Nb 0.003 0.848 0.697
12 Nb 0.000 0.532 0.562
13 Nb 0.486 0.110 0.093
14 Nb 0.501 0.581 0.771
15 Nb 0.506 0.265 0.898
16 Nb 0.475 0.425 0.964
17 Nb 0.500 0.579 0.296
18 Nb 0.973 0.000 0.500
19 Nb 0.766 0.000 0.000
20 Nb 0.486 0.890 0.907
21 Nb 0.000 0.468 0.438
22 Nb 0.020 0.844 0.433
23 Nb 0.501 0.419 0.229
24 Nb 0.504 0.266 0.158
25 Nb 0.011 0.840 0.166
26 Nb 0.998 0.307 0.371
27 Nb 0.475 0.575 0.036
28 Nb 0.506 0.735 0.102
29 O 0.500 0.182 0.132
30 O 0.505 0.339 0.066
31 O 0.002 0.755 0.813
32 O 0.000 0.577 0.462
33 O 0.007 0.087 0.939
34 O 0.495 0.014 0.206
35 O 0.000 0.405 0.259
36 O 0.007 0.080 0.536
37 O 0.000 0.423 0.538
38 O 0.499 0.165 0.574
39 O 0.500 0.341 0.201
40 O 0.504 0.501 0.862
41 O 0.000 0.426 0.671
42 O 0.499 0.835 0.426
43 O 0.000 0.595 0.741
44 O 0.500 0.340 0.792
45 O 0.499 0.664 0.653
46 O 0.500 0.504 0.586
47 O 0.000 0.415 0.963
48 O 0.500 0.659 0.799
49 O 0.992 0.918 0.327
50 O 0.000 0.246 0.737
51 O 0.499 0.343 0.645
52 O 0.999 0.076 0.264
53 O 0.505 0.820 0.153
54 O 0.995 0.238 0.466
55 O 0.500 0.496 0.414
56 O 0.000 0.762 0.668
57 O 0.000 0.607 0.589
58 O 0.501 0.826 0.723
59 O 0.500 0.818 0.868
60 O 0.499 0.000 0.500
61 O 0.495 0.026 0.060
62 O 0.000 0.574 0.329
63 O 0.007 0.913 0.061
64 O 0.495 0.181 0.997
65 O 0.992 0.082 0.673
66 O 0.504 0.499 0.138
67 O 0.000 0.585 0.037
68 O 0.004 0.919 0.603
69 O 0.500 0.660 0.208
70 O 0.005 0.914 0.196
71 O 0.005 0.086 0.804
72 O 0.499 0.501 0.272
73 O 0.000 0.238 0.332
74 O 0.002 0.245 0.187
75 O 0.999 0.253 0.597
76 O 0.495 0.986 0.794
77 O 0.501 0.174 0.277
78 O 0.505 0.180 0.847
79 O 0.004 0.081 0.397
80 O 0.499 0.657 0.355
81 O 0.999 0.747 0.403
82 O 0.994 0.915 0.882
83 O 0.506 0.339 0.927
84 O 0.499 0.336 0.347
85 O 0.495 0.819 0.003
86 O 0.499 0.499 0.728
87 O 0.495 0.974 0.940
88 O 0.000 0.393 0.411
89 O 0.007 0.920 0.464
90 O 0.995 0.762 0.534
91 O 0.500 0.500 0.000
92 O 0.994 0.085 0.118
93 O 0.999 0.924 0.736
94 O 0.505 0.661 0.934
95 O 0.004 0.247 0.885
96 O 0.506 0.661 0.073
97 O 0.004 0.753 0.115
98 O 0.000 0.754 0.263

magnetic moment = 0.04 Bohr magnetons per cell
symmetry = P2
offset from the most stable computed form = 0.000 eV per formula unit

***

Density functional theory data (PBE-GGA) for crystalline Nb2O5 at its relaxed geometry.

Unit cell a=4.056 b=4.056 c=5.845 alpha=68.59 beta=68.59 gamma=80.70
Positions (direct):
1 Nb 0.850 0.771 0.295
2 Nb 0.229 0.150 0.705
3 O 0.283 0.717 0.500
4 O 0.637 0.209 0.354
5 O 0.238 0.116 0.036
6 O 0.884 0.762 0.964
7 O 0.791 0.363 0.646

maximum piezoelectric response = 2.4 C/m²
magnetic moment = 0.00 Bohr magnetons per cell
symmetry = C2
offset from the most stable computed form = 2.394 eV per formula unit

***

Density functional theory data (PBE-GGA) for crystalline NbO3 at its relaxed geometry.

Unit cell a=6.885 b=6.885 c=6.885 alpha=109.47 beta=109.47 gamma=109.47
Positions (direct):
1 Nb 0.500 0.000 0.000
2 Nb 0.000 0.000 0.500
3 Nb 0.000 0.500 0.000
4 Nb 0.500 0.500 0.500
5 O 0.233 0.967 0.734
6 O 0.767 0.033 0.266
7 O 0.233 0.499 0.266
8 O 0.767 0.501 0.734
9 O 0.734 0.233 0.967
10 O 0.266 0.767 0.033
11 O 0.266 0.233 0.499
12 O 0.734 0.767 0.501
13 O 0.967 0.734 0.233
14 O 0.033 0.266 0.767
15 O 0.499 0.266 0.233
16 O 0.501 0.734 0.767

magnetic moment = 4.00 Bohr magnetons per cell
symmetry = Im-3
offset from the most stable computed form = 0.028 eV per formula unit

***

Density functional theory data (PBE-GGA) for crystalline Nb4O9 at its relaxed geometry.

Unit cell a=5.058 b=5.622 c=6.972 alpha=105.18 beta=109.59 gamma=91.13
Positions (direct):
1 Nb 0.369 0.263 0.279
2 Nb 0.149 0.214 0.733
3 Nb 0.608 0.726 0.700
4 Nb 0.891 0.758 0.268
5 O 0.133 0.127 0.410
6 O 0.257 0.645 0.408
7 O 0.868 0.876 0.595
8 O 0.870 0.726 0.979
9 O 0.099 0.260 0.000
10 O 0.330 0.522 0.769
11 O 0.574 0.994 0.242
12 O 0.662 0.481 0.237
13 O 0.463 0.035 0.789

magnetic moment = 0.00 Bohr magnetons per cell
symmetry = P1

***

Density functional theory data (PBE-GGA) for crystalline Nb2O5 at its relaxed geometry.

Unit cell a=6.827 b=6.827 c=4.061 alpha=89.27 beta=89.27 gamma=32.95
Positions (direct):
1 Nb 0.146 0.146 0.933
2 Nb 0.854 0.854 0.067
3 O 0.148 0.148 0.489
4 O 0.852 0.852 0.511
5 O 0.000 0.000 0.000
6 O 0.315 0.315 0.003
7 O 0.685 0.685 0.997

symmetry = C2/m
offset from the most stable computed form = 0.053 eV per formula unit

***

Density functional theory data (PBE-GGA) for crystalline NbO3 at its relaxed geometry.

Unit cell a=3.986 b=3.986 c=4.001 alpha=90.00 beta=90.00 gamma=90.00
Positions (direct):
1 Nb 0.000 0.000 0.986
2 O 0.500 0.000 0.008
3 O 0.000 0.000 0.502
4 O 0.000 0.500 0.008

magnetic moment = 1.00 Bohr magnetons per cell
symmetry = P4mm
offset from the most stable computed form = 0.000 eV per formula unit

***

Density functional theory data (PBE-GGA) for crystalline Nb2O5 at its relaxed geometry.

Unit cell a=14.815 b=14.815 c=14.815 alpha=90.97 beta=90.97 gamma=165.04
Positions (direct):
1 Nb 0.266 0.865 0.131
2 Nb 0.000 0.869 0.869
3 Nb 0.000 0.400 0.400
4 Nb 0.400 0.000 0.400
5 Nb 0.865 0.734 0.599
6 Nb 0.600 0.000 0.600
7 Nb 0.135 0.266 0.401
8 Nb 0.131 0.000 0.131
9 Nb 0.000 0.131 0.131
10 Nb 0.869 0.000 0.869
11 Nb 0.865 0.266 0.131
12 Nb 0.000 0.600 0.600
13 Nb 0.734 0.865 0.599
14 Nb 0.734 0.135 0.869
15 Nb 0.266 0.135 0.401
16 Nb 0.135 0.734 0.869
17 O 0.070 0.791 0.861
18 O 0.206 0.206 0.413
19 O 0.930 0.209 0.139
20 O 0.352 0.790 0.141
21 O 0.794 0.794 0.587
22 O 0.791 0.070 0.861
23 O 0.209 0.930 0.139
24 O 0.790 0.352 0.141
25 O 0.210 0.352 0.562
26 O 0.931 0.069 0.000
27 O 0.500 0.645 0.145
28 O 0.069 0.069 0.139
29 O 0.932 0.347 0.278
30 O 0.500 0.067 0.567
31 O 0.206 0.794 0.000
32 O 0.931 0.931 0.861
33 O 0.500 0.355 0.855
34 O 0.932 0.653 0.585
35 O 0.648 0.790 0.438
36 O 0.790 0.648 0.438
37 O 0.645 0.500 0.145
38 O 0.347 0.932 0.278
39 O 0.068 0.653 0.722
40 O 0.653 0.068 0.722
41 O 0.933 0.500 0.433
42 O 0.068 0.347 0.415
43 O 0.069 0.931 0.000
44 O 0.930 0.791 0.721
45 O 0.352 0.210 0.562
46 O 0.791 0.930 0.721
47 O 0.500 0.933 0.433
48 O 0.070 0.209 0.279
49 O 0.653 0.932 0.585
50 O 0.794 0.206 0.000
51 O 0.210 0.648 0.859
52 O 0.067 0.500 0.567
53 O 0.209 0.070 0.279
54 O 0.347 0.068 0.415
55 O 0.648 0.210 0.859
56 O 0.355 0.500 0.855

symmetry = I4/mmm
offset from the most stable computed form = 0.046 eV per formula unit

***

Density functional theory data (PBE-GGA) for crystalline Nb2O5 at its relaxed geometry.

Unit cell a=6.950 b=6.950 c=5.686 alpha=77.06 beta=77.06 gamma=42.00
Positions (direct):
1 Nb 0.616 0.101 0.253
2 Nb 0.899 0.384 0.247
3 Nb 0.384 0.899 0.747
4 Nb 0.101 0.616 0.753
5 O 0.274 0.137 0.372
6 O 0.863 0.726 0.128
7 O 0.726 0.863 0.628
8 O 0.137 0.274 0.872
9 O 0.112 0.888 0.750
10 O 0.888 0.112 0.250
11 O 0.663 0.560 0.520
12 O 0.440 0.337 0.980
13 O 0.337 0.440 0.480
14 O 0.560 0.663 0.020

symmetry = C2/c
offset from the most stable computed form = 0.116 eV per formula unit

***

For each record above, in turn, the calculated energy relative to the elements values are -3.03 -2.69 -2.46 -2.79 -3.03 -2.47 -3.03 -3.02 eV per atom.